An optimized crystal structure of HoMn6Sn4Ge2, computed with PBE.

The space group is P6/mmm (No. 191) and the conventional cell measures 5.3476, 5.3476 and 8.6693 Å, with angles of 90.00, 90.00 and 120.00 degrees. The distinct sites, in fractional coordinates, are Ho at (0.0000, 0.0000, 0.0000), Mn at (0.0000, 0.5000, 0.2328), Sn at (0.0000, 0.0000, 0.3338), Sn at (0.3333, 0.6667, 0.5000) and Ge at (0.3333, 0.6667, 0.0000).

As for the formation energy from the elements: -0.226 eV per atom.


An optimized crystal structure of NaHo4Ge2O11, computed with PBE.

The space group is Pnma (No. 62) and the conventional cell measures 6.784, 21.841 and 6.910 Å, with angles of 90.00, 90.00 and 90.00 degrees. The distinct sites, in fractional coordinates, are Na at (0.142, 0.250, 0.195), Ho at (0.093, 0.650, 0.370), Ho at (0.218, 0.013, 0.625), Ge at (0.079, 0.626, 0.905), O at (0.022, 0.750, 0.362), O at (0.046, 0.546, 0.859), O at (0.083, 0.160, 0.924), O at (0.104, 0.671, 0.699), O at (0.108, 0.544, 0.384) and O at (0.221, 0.118, 0.574).

The calculation puts the corrected total energy (MP2020 scheme) at -558.81 eV/cell. As for the formation energy from the elements: -3.132 eV per atom.


An optimized crystal structure of Ho2Nb3Ge4, computed with PBE.

The space group is Pnma (No. 62) and the conventional cell measures 7.001, 13.586 and 7.173 Å, with angles of 90.00, 90.00 and 90.00 degrees. The distinct sites, in fractional coordinates, are Ho at (0.003, 0.095, 0.174), Nb at (0.160, 0.626, 0.329), Nb at (0.164, 0.250, 0.512), Ge at (0.040, 0.250, 0.879), Ge at (0.175, 0.041, 0.538) and Ge at (0.195, 0.750, 0.639).

As for the formation energy from the elements: -0.741 eV per atom.